{
  "formula": "Mg149Te",
  "functional": "PBE",
  "state": "optimized geometry",
  "volume_a3_per_atom": 22.744,
  "final_energy_ev_per_atom": -1.639,
  "space_group": "No. 187",
  "formation_enthalpy_0k_mev_per_atom": -31,
  "lattice": [[13.7739, -7.9524, 0.0000], [0.0000, 15.9048, 0.0000], [0.0000, 0.0000, 15.5732]],
  "species": ["Mg", "Mg", "Mg", "Mg", "Mg", "Mg", "Mg", "Mg", "Mg", "Mg", "Mg", "Mg", "Mg", "Mg", "Mg", "Mg", "Mg", "Mg", "Mg", "Mg", "Mg", "Mg", "Mg", "Mg", "Mg", "Mg", "Mg", "Mg", "Mg", "Mg", "Mg", "Mg", "Mg", "Mg", "Mg", "Mg", "Mg", "Mg", "Mg", "Mg", "Mg", "Mg", "Mg", "Mg", "Mg", "Mg", "Mg", "Mg", "Mg", "Mg", "Mg", "Mg", "Mg", "Mg", "Mg", "Mg", "Mg", "Mg", "Mg", "Mg", "Mg", "Mg", "Mg", "Mg", "Mg", "Mg", "Mg", "Mg", "Mg", "Mg", "Mg", "Mg", "Mg", "Mg", "Mg", "Mg", "Mg", "Mg", "Mg", "Mg", "Mg", "Mg", "Mg", "Mg", "Mg", "Mg", "Mg", "Mg", "Mg", "Mg", "Mg", "Mg", "Mg", "Mg", "Mg", "Mg", "Mg", "Mg", "Mg", "Mg", "Mg", "Mg", "Mg", "Mg", "Mg", "Mg", "Mg", "Mg", "Mg", "Mg", "Mg", "Mg", "Mg", "Mg", "Mg", "Mg", "Mg", "Mg", "Mg", "Mg", "Mg", "Mg", "Mg", "Mg", "Mg", "Mg", "Mg", "Mg", "Mg", "Mg", "Mg", "Mg", "Mg", "Mg", "Mg", "Mg", "Mg", "Mg", "Mg", "Mg", "Mg", "Mg", "Mg", "Mg", "Mg", "Mg", "Mg", "Mg", "Mg", "Te"],
  "frac_coords": [[0.2667, 0.3330, 0.1663], [0.8656, 0.9328, 0.8303], [0.6670, 0.7333, 0.1663], [0.0003, 0.5990, 0.0000], [0.6665, 0.5333, 0.5000], [0.4665, 0.9331, 0.1666], [0.4667, 0.3333, 0.1662], [0.6000, 0.6000, 0.3333], [0.0000, 0.4000, 0.3333], [0.0668, 0.5334, 0.5000], [0.1998, 0.8002, 0.3327], [0.2667, 0.9337, 0.8337], [0.0668, 0.7334, 0.5000], [0.0000, 0.6000, 0.6667], [0.4665, 0.5335, 0.8334], [0.2667, 0.9337, 0.1663], [0.6666, 0.7334, 0.5000], [0.0663, 0.3330, 0.8337], [0.2666, 0.3334, 0.5000], [0.4667, 0.7334, 0.5000], [0.6002, 0.3998, 0.3329], [0.2666, 0.9332, 0.5000], [0.6000, 0.0000, 0.3333], [0.3997, 0.6003, 0.0000], [0.6667, 0.3333, 0.8338], [0.1996, 0.3993, 0.0000], [0.7996, 0.3998, 0.3329], [0.7999, 0.0001, 0.6656], [0.8666, 0.7331, 0.1673], [0.7999, 0.7997, 0.3344], [0.4000, 0.4000, 0.3333], [0.6002, 0.2004, 0.6671], [0.2666, 0.7334, 0.1663], [0.2666, 0.5333, 0.5000], [0.3998, 0.6002, 0.3330], [0.8666, 0.5333, 0.8338], [0.7994, 0.3997, 0.0000], [0.8656, 0.9328, 0.1697], [0.2669, 0.1334, 0.8327], [0.0665, 0.1330, 0.5000], [0.4667, 0.3333, 0.8338], [0.6670, 0.9337, 0.1663], [0.0669, 0.5335, 0.8334], [0.0672, 0.1344, 0.8303], [0.8666, 0.5333, 0.1662], [0.2003, 0.6002, 0.3330], [0.2003, 0.6002, 0.6670], [0.6004, 0.8002, 0.6673], [0.2042, 0.2027, 0.0000], [0.6670, 0.7333, 0.8337], [0.6667, 0.1334, 0.1662], [0.0000, 0.0000, 0.6673], [0.0000, 0.6000, 0.3333], [0.6003, 0.3997, 0.0000], [0.8000, 0.2000, 0.3329], [0.2003, 0.2001, 0.6656], [0.0663, 0.7333, 0.8337], [0.9985, 0.7958, 0.0000], [0.3998, 0.7997, 0.3330], [0.9999, 0.7997, 0.6656], [0.2003, 0.0001, 0.3344], [0.6004, 0.8002, 0.3327], [0.0003, 0.4014, 0.0000], [0.7998, 0.5995, 0.0000], [0.4010, 0.9997, 0.0000], [0.6667, 0.1334, 0.8338], [0.3997, 0.7994, 0.0000], [0.7973, 0.0015, 0.0000], [0.7996, 0.3998, 0.6671], [0.6000, 0.0000, 0.6667], [0.2669, 0.1334, 0.1673], [0.4667, 0.1334, 0.8338], [0.5986, 0.9997, 0.0000], [0.7998, 0.2002, 0.0000], [0.6003, 0.2006, 0.0000], [0.4667, 0.1332, 0.5000], [0.0663, 0.7333, 0.1663], [0.0668, 0.3334, 0.5000], [0.6666, 0.9332, 0.5000], [0.4000, 0.0000, 0.6667], [0.6665, 0.1332, 0.5000], [0.4666, 0.9332, 0.5000], [0.6007, 0.8004, 0.0000], [0.1998, 0.3996, 0.6673], [0.2006, 0.6003, 0.0000], [0.6000, 0.6000, 0.6667], [0.6002, 0.2004, 0.3329], [0.2003, 0.2001, 0.3344], [0.8666, 0.3333, 0.1662], [0.7973, 0.7958, 0.0000], [0.0000, 0.0000, 0.3327], [0.5986, 0.5990, 0.0000], [0.8666, 0.3333, 0.8338], [0.4010, 0.4014, 0.0000], [0.4000, 0.2000, 0.3329], [0.9999, 0.2001, 0.6656], [0.0672, 0.9328, 0.8303], [0.8668, 0.5333, 0.5000], [0.1998, 0.8002, 0.6673], [0.0672, 0.1344, 0.1697], [0.8666, 0.1334, 0.8327], [0.0663, 0.3330, 0.1663], [0.8670, 0.9335, 0.5000], [0.8668, 0.3335, 0.5000], [0.6002, 0.3998, 0.6671], [0.2042, 0.0015, 0.0000], [0.1998, 0.3996, 0.3327], [0.8666, 0.1334, 0.5000], [0.6667, 0.5333, 0.8338], [0.4000, 0.0000, 0.3333], [0.9985, 0.2027, 0.0000], [0.4668, 0.7334, 0.1663], [0.3998, 0.7997, 0.6670], [0.3998, 0.6002, 0.6670], [0.6667, 0.3333, 0.5000], [0.4667, 0.3335, 0.5000], [0.4665, 0.5335, 0.1666], [0.8000, 0.6000, 0.6671], [0.6670, 0.9337, 0.8337], [0.4665, 0.9331, 0.8334], [0.2003, 0.0001, 0.6656], [0.8666, 0.1334, 0.1673], [0.0669, 0.5335, 0.1666], [0.1996, 0.8004, 0.0000], [0.8666, 0.7331, 0.5000], [0.0665, 0.9335, 0.5000], [0.2666, 0.7334, 0.5000], [0.8666, 0.7331, 0.8327], [0.6667, 0.5333, 0.1662], [0.2666, 0.5332, 0.8337], [0.2666, 0.7334, 0.8337], [0.0000, 0.4000, 0.6667], [0.4668, 0.7334, 0.8337], [0.8000, 0.6000, 0.3329], [0.2667, 0.3330, 0.8337], [0.4000, 0.2000, 0.6671], [0.4005, 0.2002, 0.0000], [0.4000, 0.4000, 0.6667], [0.9999, 0.2001, 0.3344], [0.4667, 0.1334, 0.1662], [0.9999, 0.7997, 0.3344], [0.7999, 0.7997, 0.6656], [0.6667, 0.3333, 0.1662], [0.2669, 0.1334, 0.5000], [0.4666, 0.5334, 0.5000], [0.2666, 0.5332, 0.1663], [0.7999, 0.0001, 0.3344], [0.8000, 0.2000, 0.6671], [0.0672, 0.9328, 0.1697], [0.0000, 0.0000, 0.0000]]
}